A geometry-optimized MgInS3 structure. Source: the Materials Project, functional GGA-PBE.

The calculation puts the mass density at 3449 kg/m3. Its formation energy is -0.943 eV/atom. The energy with MP2020 corrections comes out at -4.30 eV/atom. The energy comes out at -0.14677 Ha/atom.

The structure belongs to space group C2/m (No. 12); the cell edges are 6.7874, 11.8066 and 6.5162 Å and the angles 90.00°, 119.79° and 90.00°. The asymmetric unit holds Mg at (0.0000, 0.1703, 0.0000), In at (0.1581, 0.5000, 0.3450), S at (0.1970, 0.1763, 0.7393) and S at (0.2480, 0.0000, 0.2301).